(1)
Entry from the Materials Project: Er6MgGe2S14 after structural relaxation (GGA-PBE).

abc: 9.7346 9.7346 5.8794
angles: 90.00 90.00 120.00
Last column: nearest neighbours and their distance in Å.
Space group P3 (No. 143)
Inequivalent atoms, fractional coordinates:
Er 0.0243 0.4732 0.0000 [3 per cell]  7 S 2.69-3.01
Er 0.3047 0.1923 0.4949 [3 per cell]  7 S 2.71-3.03
Mg 0.6667 0.3333 0.6893 [1 per cell]  6 S 2.55-2.59
Ge 0.0000 0.0000 0.0723 [1 per cell]  4 S 2.21-2.24
Ge 0.3333 0.6667 0.5764 [1 per cell]  4 S 2.22-2.24
S 0.0000 0.0000 0.6964 [1 per cell]  1 Ge 2.21
S 0.0913 0.2384 0.2344 [3 per cell]  1 Ge 2.24
S 0.1873 0.7588 0.7396 [3 per cell]  1 Ge 2.24
S 0.3333 0.6667 0.1993 [1 per cell]  1 Ge 2.22
S 0.4149 0.2301 0.9272 [3 per cell]  1 Mg 2.55, 3 Er 2.69-2.78
S 0.5158 0.0806 0.4436 [3 per cell]  1 Mg 2.59, 3 Er 2.72-2.78

Output
Size of the total moment ... 0.0 μB per cell

***

(2)
Entry from the Materials Project: NdFe10W2 after structural relaxation (GGA-PBE).

abc: 4.6939 8.6414 8.7544
angles: 90.00 90.00 90.00
Last column: nearest neighbours and their distance in Å.
Space group Immm (No. 71)
Inequivalent atoms, fractional coordinates:
Nd 0.0000 0.0000 0.0000 [2 per cell]  18 Fe 3.05-3.29, 2 W 3.12
Fe 0.0000 0.2737 0.5000 [4 per cell]  6 Fe 2.49-2.62, 2 W 2.68
Fe 0.0000 0.3597 0.0000 [4 per cell]  9 Fe 2.42-2.66
Fe 0.0000 0.5000 0.2696 [4 per cell]  6 Fe 2.46-2.65, 2 W 2.59
Fe 0.2500 0.2500 0.2500 [8 per cell]  6 Fe 2.35-2.49
W 0.0000 0.0000 0.3563 [4 per cell]  1 W 2.52, 8 Fe 2.59-2.68

Output
Size of the total moment ... 37.7 μB per cell

***

(3)
Entry from the Materials Project: YMg14SiO16 after structural relaxation (GGA-PBE).

abc: 8.7713 8.7713 4.3809
angles: 90.00 90.00 90.00
Last column: nearest neighbours and their distance in Å.
Space group P4/mmm (No. 123)
Inequivalent atoms, fractional coordinates:
Y 0.0000 0.0000 0.0000 [1 per cell]  6 O 2.19-2.26
Mg 0.0000 0.2634 0.5000 [4 per cell]  6 O 2.07-2.31
Mg 0.0000 0.5000 0.0000 [2 per cell]  6 O 2.08-2.19
Mg 0.2492 0.5000 0.5000 [4 per cell]  6 O 2.18-2.20
Mg 0.2568 0.2568 0.0000 [4 per cell]  6 O 2.14-2.25
Si 0.5000 0.5000 0.0000 [1 per cell]  6 O 2.19-2.30
O 0.0000 0.0000 0.5000 [1 per cell]  2 Y 2.19, 4 Mg 2.31
O 0.0000 0.2577 0.0000 [4 per cell]  5 Mg 2.12-2.25, 1 Y 2.26
O 0.0000 0.5000 0.5000 [2 per cell]  6 Mg 2.07-2.19
O 0.2376 0.5000 0.0000 [4 per cell]  5 Mg 2.08-2.19, 1 Si 2.30
O 0.2515 0.2515 0.5000 [4 per cell]  6 Mg 2.18-2.21
O 0.5000 0.5000 0.5000 [1 per cell]  2 Si 2.19, 4 Mg 2.20

Output
Size of the total moment ... 0.0 μB per cell
ΔE to the lowest computed polymorph ... 0 meV per atom

***

(4)
Entry from the Materials Project: NpRh3 after structural relaxation (GGA-PBE).

abc: 4.0088 4.0088 4.0088
angles: 90.00 90.00 90.00
Last column: nearest neighbours and their distance in Å.
Space group Pm-3m (No. 221)
Inequivalent atoms, fractional coordinates:
Np 0.0000 0.0000 0.0000 [1 per cell]  12 Rh 2.83
Rh 0.0000 0.5000 0.5000 [3 per cell]  4 Np 2.83, 8 Rh 2.83

***

(5)
Entry from the Materials Project: Na5H29I2O24 after structural relaxation (GGA-PBE).

abc: 8.8733 8.8922 9.1396
angles: 117.89 100.10 94.22
Last column: nearest neighbours and their distance in Å.
Space group P-1 (No. 2)
Inequivalent atoms, fractional coordinates:
Na 0.0000 0.0000 0.0000 [1 per cell]  4 O 2.32-2.42
Na 0.1264 0.6188 0.8868 [2 per cell]  1 H 2.17, 3 O 2.33-2.38
Na 0.3589 0.3502 0.6454 [2 per cell]  5 O 2.30-2.56, 1 H 2.43
H 0.0000 0.5000 0.0000 [1 per cell]  2 O 1.21
H 0.0065 0.6407 0.6054 [2 per cell]  1 O 0.97
H 0.0550 0.7974 0.1798 [2 per cell]  1 O 0.98
H 0.0975 0.1488 0.6261 [2 per cell]  1 O 0.98
H 0.1120 0.8191 0.6942 [2 per cell]  1 O 1.00
H 0.1544 0.2916 0.8198 [2 per cell]  1 O 0.99
H 0.1867 0.5375 0.1462 [2 per cell]  1 O 0.97
H 0.2135 0.9247 0.2530 [2 per cell]  1 O 0.99
H 0.2216 0.3683 0.3470 [2 per cell]  1 O 0.97
H 0.3028 0.0892 0.9274 [2 per cell]  1 O 0.98
H 0.3327 0.5465 0.4461 [2 per cell]  1 O 1.00
H 0.3393 0.1260 0.1151 [2 per cell]  1 O 0.98
H 0.4043 0.7150 0.8126 [2 per cell]  1 O 1.00
H 0.4453 0.7092 0.9839 [2 per cell]  1 O 0.98
H 0.4471 0.7819 0.2565 [2 per cell]  1 O 1.00
I 0.4061 0.9188 0.5904 [2 per cell]  3 O 1.82-1.86
O 0.0415 0.7433 0.7168 [2 per cell]  2 H 0.97-1.00
O 0.1149 0.2734 0.7035 [2 per cell]  2 H 0.98-0.99
O 0.1195 0.4533 0.0360 [2 per cell]  1 H 0.97
O 0.1262 0.8633 0.1512 [2 per cell]  2 H 0.98-0.99
O 0.2063 0.9282 0.6145 [2 per cell]  1 H 1.71, 1 I 1.83
O 0.2537 0.1087 0.0211 [2 per cell]  2 H 0.98
O 0.2804 0.4528 0.4607 [2 per cell]  2 H 0.97-1.00
O 0.3731 0.0354 0.4423 [2 per cell]  1 H 1.82
O 0.3747 0.7086 0.3906 [2 per cell]  2 H 1.77-1.82, 1 I 1.86
O 0.3835 0.6419 0.8653 [2 per cell]  2 H 0.98-1.00
O 0.4707 0.1699 0.7806 [2 per cell]  1 H 1.00
O 0.4831 0.8431 0.7372 [2 per cell]  2 H 1.75-1.80, 1 I 1.82

Output
Size of the total moment ... 0.0 μB per cell

***

(6)
Entry from the Materials Project: PdSe2 after structural relaxation (GGA-PBE).

abc: 5.7944 5.9454 8.5851
angles: 90.00 90.00 90.00
Last column: nearest neighbours and their distance in Å.
Space group Pbca (No. 61)
Inequivalent atoms, fractional coordinates:
Pd 0.0000 0.0000 0.0000 [4 per cell]  4 Se 2.47
Se 0.1113 0.1194 0.4141 [8 per cell]  1 Se 2.42, 2 Pd 2.47

***

(7)
Entry from the Materials Project: TmCoSn after structural relaxation (GGA-PBE).

abc: 7.1077 4.4897 7.4351
angles: 90.00 90.00 90.00
Last column: nearest neighbours and their distance in Å.
Space group Pnma (No. 62)
Inequivalent atoms, fractional coordinates:
Tm 0.0142 0.2500 0.2081 [4 per cell]  4 Co 2.90-3.09, 5 Sn 3.08-3.17
Co 0.1558 0.7500 0.4370 [4 per cell]  4 Sn 2.59-2.65, 1 Tm 2.90
Sn 0.2106 0.2500 0.6036 [4 per cell]  4 Co 2.59-2.65

Output
Size of the total moment ... 0.1 μB per cell

***

(8)
Entry from the Materials Project: Ga3Pb5F19 after structural relaxation (GGA-PBE).

abc: 14.5558 14.5558 7.8338
angles: 90.00 90.00 90.00
Last column: nearest neighbours and their distance in Å.
Space group I4cm (No. 108)
Inequivalent atoms, fractional coordinates:
Ga 0.0000 0.0000 0.0000 [4 per cell]  6 F 1.90-1.99
Ga 0.1607 0.3393 0.1969 [8 per cell]  6 F 1.89-1.95
Pb 0.0000 0.5000 0.0384 [4 per cell]  6 F 2.46-2.55
Pb 0.0714 0.2268 0.6458 [16 per cell]  4 F 2.38-2.65
F 0.0000 0.0000 0.2546 [4 per cell]  2 Ga 1.92-1.99
F 0.0572 0.1173 0.0104 [16 per cell]  1 Ga 1.90
F 0.0650 0.3074 0.0337 [16 per cell]  1 Ga 1.95
F 0.0734 0.4266 0.2858 [8 per cell]  1 Ga 1.93
F 0.1067 0.2484 0.3486 [16 per cell]  1 Ga 1.94
F 0.1158 0.3842 0.6525 [8 per cell]  3 Pb 2.38-2.55
F 0.2481 0.2519 0.1244 [8 per cell]  1 Ga 1.89

Output
Size of the total moment ... 0.0 μB per cell

***

Across the entries above, formation energy takes the values -1852, 35, -2823, -340, -1261, -596, -487, -2814 meV per atom, respectively.